(1)
{
  "formula": "Nb5B6",
  "functional": "PBE-GGA",
  "state": "optimized geometry",
  "volume_a3_per_cell": 121,
  "space_group": "Cmmm, No. 65",
  "ef_mev_per_atom": -766,
  "lattice": [[1.5840, -11.4641, 0.0000], [1.5840, 11.4641, 0.0000], [0.0000, 0.0000, 3.3203]],
  "species": ["Nb", "Nb", "Nb", "Nb", "Nb", "B", "B", "B", "B", "B", "B"],
  "frac_coords": [[0.0000, 0.0000, 0.0000], [0.1943, 0.8057, 0.5000], [0.3858, 0.6142, 0.0000], [0.6142, 0.3858, 0.0000], [0.8057, 0.1943, 0.5000], [0.0816, 0.9184, 0.5000], [0.2722, 0.7278, 0.0000], [0.4602, 0.5398, 0.5000], [0.5398, 0.4602, 0.5000], [0.7278, 0.2722, 0.0000], [0.9184, 0.0816, 0.5000]]
}


(2)
{
  "formula": "Na2Y4Ta4Si5S7O48",
  "functional": "PBE-GGA",
  "state": "optimized geometry",
  "volume_a3_per_cell": 3342,
  "m_tot_mub_per_cell": 0.0,
  "space_group": "P1, No. 1",
  "ef_mev_per_atom": -2771,
  "lattice": [[9.0570, 0.0000, 0.0000], [0.0337, 15.6295, 0.0000], [0.0318, 0.0052, 23.6071]],
  "species": ["Na", "Na", "Na", "Na", "Na", "Na", "Y", "Y", "Y", "Y", "Y", "Y", "Y", "Y", "Y", "Y", "Y", "Y", "Ta", "Ta", "Ta", "Ta", "Ta", "Ta", "Ta", "Ta", "Ta", "Ta", "Ta", "Ta", "Si", "Si", "Si", "Si", "Si", "Si", "Si", "Si", "Si", "Si", "Si", "Si", "Si", "Si", "Si", "S", "S", "S", "S", "S", "S", "S", "S", "S", "S", "S", "S", "S", "S", "S", "S", "S", "S", "S", "S", "S", "O", "O", "O", "O", "O", "O", "O", "O", "O", "O", "O", "O", "O", "O", "O", "O", "O", "O", "O", "O", "O", "O", "O", "O", "O", "O", "O", "O", "O", "O", "O", "O", "O", "O", "O", "O", "O", "O", "O", "O", "O", "O", "O", "O", "O", "O", "O", "O", "O", "O", "O", "O", "O", "O", "O", "O", "O", "O", "O", "O", "O", "O", "O", "O", "O", "O", "O", "O", "O", "O", "O", "O", "O", "O", "O", "O", "O", "O", "O", "O", "O", "O", "O", "O", "O", "O", "O", "O", "O", "O", "O", "O", "O", "O", "O", "O", "O", "O", "O", "O", "O", "O", "O", "O", "O", "O", "O", "O", "O", "O", "O", "O", "O", "O", "O", "O", "O", "O", "O", "O", "O", "O", "O", "O", "O", "O", "O", "O", "O", "O", "O", "O", "O", "O", "O", "O", "O", "O", "O", "O", "O", "O", "O", "O"],
  "frac_coords": [[0.0000, 0.0000, 0.0000], [0.0019, 0.9861, 0.5004], [0.0050, 0.3362, 0.1595], [0.4711, 0.5015, 0.0110], [0.4791, 0.8313, 0.6614], [0.4855, 0.5041, 0.4946], [0.0084, 0.6762, 0.4706], [0.0106, 0.3275, 0.0215], [0.4768, 0.8247, 0.5208], [0.4777, 0.1758, 0.9703], [0.4916, 0.5079, 0.1444], [0.4932, 0.1611, 0.4687], [0.4950, 0.8292, 0.8155], [0.5014, 0.4903, 0.6502], [0.9851, 0.9891, 0.1497], [0.9922, 0.3290, 0.3138], [0.9930, 0.0046, 0.6463], [0.9983, 0.6620, 0.9689], [0.0033, 0.3296, 0.5151], [0.4758, 0.8236, 0.0189], [0.4902, 0.1620, 0.1858], [0.4908, 0.5012, 0.3495], [0.4907, 0.8274, 0.3071], [0.5017, 0.1725, 0.6919], [0.5045, 0.4999, 0.8490], [0.9834, 0.0012, 0.3473], [0.9899, 0.0013, 0.8540], [0.9959, 0.6631, 0.6865], [0.9964, 0.6745, 0.1880], [0.9977, 0.3289, 0.8077], [0.1263, 0.1887, 0.9133], [0.1392, 0.8124, 0.5848], [0.1406, 0.8546, 0.2500], [0.2027, 0.8413, 0.9147], [0.2755, 0.6674, 0.0807], [0.2867, 0.3422, 0.4139], [0.3460, 0.3559, 0.7499], [0.3465, 0.3107, 0.0850], [0.3606, 0.6874, 0.4129], [0.6222, 0.6796, 0.9163], [0.6490, 0.6427, 0.2503], [0.6936, 0.0010, 0.2511], [0.7913, 0.5012, 0.7511], [0.8476, 0.1436, 0.7509], [0.8660, 0.1790, 0.4156], [0.1282, 0.5183, 0.5812], [0.1468, 0.1425, 0.2464], [0.1512, 0.4704, 0.9085], [0.1999, 0.5058, 0.2487], [0.2052, 0.1745, 0.5815], [0.2893, 0.0061, 0.7472], [0.3340, 0.9702, 0.4101], [0.3392, 0.6436, 0.7462], [0.3583, 0.0195, 0.0813], [0.6257, 0.0239, 0.5871], [0.6287, 0.3474, 0.2472], [0.6465, 0.3043, 0.5816], [0.6525, 0.9752, 0.9175], [0.7089, 0.3411, 0.9115], [0.7125, 0.6668, 0.5852], [0.7739, 0.1669, 0.0848], [0.7785, 0.8422, 0.4117], [0.8327, 0.4728, 0.4187], [0.8375, 0.8065, 0.0808], [0.8559, 0.8477, 0.7474], [0.8605, 0.5227, 0.0867], [0.0477, 0.0939, 0.8959], [0.0495, 0.2175, 0.9718], [0.0500, 0.4338, 0.5753], [0.0562, 0.7626, 0.2372], [0.0594, 0.9076, 0.3031], [0.0695, 0.5609, 0.6347], [0.0700, 0.9085, 0.5872], [0.0748, 0.2516, 0.8621], [0.0810, 0.1043, 0.1960], [0.0829, 0.7491, 0.6404], [0.0839, 0.5550, 0.9104], [0.0846, 0.7672, 0.5273], [0.0868, 0.4237, 0.8605], [0.0891, 0.7675, 0.9263], [0.0933, 0.2309, 0.2519], [0.0939, 0.4359, 0.2571], [0.0958, 0.5709, 0.5316], [0.0987, 0.1040, 0.5869], [0.1022, 0.9309, 0.9043], [0.1140, 0.0908, 0.2985], [0.1156, 0.2574, 0.5731], [0.1174, 0.5880, 0.2432], [0.1304, 0.9109, 0.1944], [0.1338, 0.4219, 0.9620], [0.1661, 0.3119, 0.0892], [0.1659, 0.6772, 0.1388], [0.1668, 0.3582, 0.4719], [0.1711, 0.9792, 0.4013], [0.1728, 0.6461, 0.7385], [0.1757, 0.3330, 0.7661], [0.1775, 0.6554, 0.0264], [0.1862, 0.6731, 0.4133], [0.1875, 0.3331, 0.3593], [0.1944, 0.0182, 0.7979], [0.1970, 0.0083, 0.0872], [0.2003, 0.9892, 0.6967], [0.2882, 0.4870, 0.1989], [0.2890, 0.5055, 0.5864], [0.2954, 0.1598, 0.5316], [0.2965, 0.1856, 0.6334], [0.2985, 0.8351, 0.8584], [0.3000, 0.1731, 0.9125], [0.3021, 0.5136, 0.3001], [0.3122, 0.1442, 0.2400], [0.3116, 0.8333, 0.2671], [0.3136, 0.4793, 0.8986], [0.3175, 0.8575, 0.9714], [0.3196, 0.8137, 0.5889], [0.3535, 0.9215, 0.4636], [0.3575, 0.4088, 0.6928], [0.3690, 0.5920, 0.7977], [0.3714, 0.7610, 0.0717], [0.3743, 0.0889, 0.7368], [0.3876, 0.2644, 0.4314], [0.3891, 0.4290, 0.4056], [0.3896, 0.0725, 0.0319], [0.3914, 0.7325, 0.7508], [0.3975, 0.5936, 0.0851], [0.3977, 0.0561, 0.4143], [0.3981, 0.2644, 0.0273], [0.3987, 0.9373, 0.7533], [0.4008, 0.2467, 0.1408], [0.4011, 0.9265, 0.3617], [0.4038, 0.6051, 0.6954], [0.4115, 0.7529, 0.3632], [0.4160, 0.0632, 0.1352], [0.4201, 0.4037, 0.0892], [0.4274, 0.2613, 0.7353], [0.4301, 0.4059, 0.8020], [0.4372, 0.5923, 0.3951], [0.4366, 0.7151, 0.4720], [0.4372, 0.9363, 0.0766], [0.5283, 0.5878, 0.9050], [0.5451, 0.7360, 0.9719], [0.5565, 0.6105, 0.1982], [0.5579, 0.9381, 0.5896], [0.5595, 0.2599, 0.2403], [0.5632, 0.3873, 0.2996], [0.5675, 0.0744, 0.6376], [0.5800, 0.2608, 0.5339], [0.5835, 0.3915, 0.5859], [0.5860, 0.9252, 0.2727], [0.5872, 0.0680, 0.5351], [0.5921, 0.0858, 0.2370], [0.5924, 0.9410, 0.8645], [0.5933, 0.7392, 0.2700], [0.6002, 0.4001, 0.1977], [0.6012, 0.7348, 0.8600], [0.6033, 0.0627, 0.9267], [0.6049, 0.4180, 0.9026], [0.6093, 0.5940, 0.5902], [0.6104, 0.2551, 0.6361], [0.6152, 0.5715, 0.3033], [0.6170, 0.2642, 0.9134], [0.6256, 0.9197, 0.9670], [0.6322, 0.7497, 0.5881], [0.6643, 0.1524, 0.7370], [0.6662, 0.4742, 0.4129], [0.6717, 0.5224, 0.8044], [0.6736, 0.1653, 0.1373], [0.6739, 0.8149, 0.0752], [0.6799, 0.8377, 0.3631], [0.6874, 0.1580, 0.0335], [0.6951, 0.8359, 0.7512], [0.6961, 0.4772, 0.6967], [0.6994, 0.5111, 0.0916], [0.6988, 0.8587, 0.4650], [0.7026, 0.1571, 0.4336], [0.7840, 0.6540, 0.9326], [0.7882, 0.0177, 0.5912], [0.7895, 0.3352, 0.2530], [0.7885, 0.3572, 0.9645], [0.7911, 0.9772, 0.1973], [0.7990, 0.6581, 0.5336], [0.8070, 0.3371, 0.8625], [0.8103, 0.3098, 0.5758], [0.8132, 0.0226, 0.3052], [0.8127, 0.6655, 0.6372], [0.8229, 0.9780, 0.9100], [0.8264, 0.6503, 0.2357], [0.8535, 0.2496, 0.0879], [0.8654, 0.4140, 0.4692], [0.8701, 0.7649, 0.4141], [0.8712, 0.7588, 0.1358], [0.8759, 0.0718, 0.8015], [0.8774, 0.0939, 0.0901], [0.8823, 0.9190, 0.4031], [0.8857, 0.2355, 0.3604], [0.8860, 0.5581, 0.4312], [0.8868, 0.9003, 0.6973], [0.8928, 0.5664, 0.0341], [0.8929, 0.5861, 0.7359], [0.8964, 0.2400, 0.7690], [0.8973, 0.4386, 0.3669], [0.9010, 0.4257, 0.7720], [0.9017, 0.7634, 0.0327], [0.9021, 0.8943, 0.0848], [0.9151, 0.5724, 0.1375], [0.9203, 0.8870, 0.7992], [0.9255, 0.1125, 0.6947], [0.9250, 0.7599, 0.7398], [0.9344, 0.4373, 0.0885], [0.9427, 0.2371, 0.4719], [0.9587, 0.0875, 0.4072]]
}


(3)
{
  "formula": "AlC7IN",
  "functional": "PBE-GGA",
  "state": "optimized geometry",
  "volume_a3_per_cell": 786,
  "m_tot_mub_per_cell": 0.0,
  "space_group": "Iba2, No. 45",
  "ef_mev_per_atom": 958,
  "lattice": [[-5.4742, 7.8173, 4.5928], [5.4742, -7.8173, 4.5928], [5.4742, 7.8173, -4.5928]],
  "species": ["Al", "Al", "Al", "Al", "C", "C", "C", "C", "C", "C", "C", "C", "C", "C", "C", "C", "C", "C", "C", "C", "C", "C", "C", "C", "C", "C", "C", "C", "C", "C", "C", "C", "I", "I", "I", "I", "N", "N", "N", "N"],
  "frac_coords": [[0.0459, 0.1350, 0.1809], [0.4541, 0.6350, 0.0891], [0.5459, 0.3650, 0.9109], [0.9541, 0.8650, 0.8191], [0.0642, 0.2535, 0.3942], [0.0699, 0.6622, 0.2355], [0.0803, 0.8954, 0.9709], [0.1792, 0.0533, 0.1137], [0.1953, 0.6626, 0.2047], [0.2491, 0.5595, 0.1573], [0.3593, 0.7535, 0.1893], [0.4022, 0.0918, 0.8427], [0.4209, 0.7225, 0.7868], [0.4245, 0.3954, 0.8151], [0.4267, 0.8343, 0.7645], [0.4357, 0.2225, 0.3016], [0.4396, 0.5533, 0.8741], [0.4579, 0.9906, 0.7953], [0.5642, 0.1700, 0.8107], [0.5699, 0.3343, 0.4076], [0.5803, 0.6094, 0.1849], [0.6792, 0.5655, 0.1259], [0.6953, 0.4906, 0.5328], [0.7491, 0.5918, 0.6896], [0.8593, 0.6700, 0.6058], [0.9022, 0.0595, 0.3104], [0.9209, 0.1340, 0.6984], [0.9245, 0.1094, 0.0291], [0.9267, 0.1622, 0.5924], [0.9357, 0.6340, 0.2132], [0.9396, 0.0655, 0.8863], [0.9579, 0.1626, 0.4672], [0.0805, 0.6711, 0.8793], [0.2918, 0.1711, 0.5906], [0.5805, 0.7012, 0.4094], [0.7918, 0.2012, 0.1207], [0.3094, 0.1030, 0.1936], [0.4093, 0.6030, 0.7935], [0.8094, 0.6158, 0.2065], [0.9093, 0.1158, 0.8064]]
}


(4)
{
  "formula": "Co2NiN2",
  "functional": "PBE-GGA",
  "state": "optimized geometry",
  "volume_a3_per_cell": 46,
  "m_tot_mub_per_cell": 0.0,
  "space_group": "I4/mmm, No. 139",
  "ef_mev_per_atom": 85,
  "lattice": [[-1.3926, 1.3926, 5.8938], [1.3926, -1.3926, 5.8938], [1.3926, 1.3926, -5.8938]],
  "species": ["Co", "Co", "Ni", "N", "N"],
  "frac_coords": [[0.1813, 0.1813, 0.0000], [0.8187, 0.8187, 0.0000], [0.5000, 0.5000, 0.0000], [0.3462, 0.3462, 0.0000], [0.6538, 0.6538, 0.0000]]
}


(5)
{
  "formula": "Ce2SnS5",
  "functional": "PBE-GGA",
  "state": "optimized geometry",
  "volume_a3_per_cell": 345,
  "space_group": "Pbam, No. 55",
  "ef_mev_per_atom": -1735,
  "lattice": [[7.6860, 0.0000, 0.0000], [0.0000, 11.1991, 0.0000], [0.0000, 0.0000, 4.0120]],
  "species": ["Ce", "Ce", "Ce", "Ce", "Sn", "Sn", "S", "S", "S", "S", "S", "S", "S", "S", "S", "S"],
  "frac_coords": [[0.0693, 0.1682, 0.0000], [0.4307, 0.6682, 0.0000], [0.5693, 0.3318, 0.0000], [0.9307, 0.8318, 0.0000], [0.0000, 0.5000, 0.5000], [0.5000, 0.0000, 0.5000], [0.0000, 0.0000, 0.5000], [0.1511, 0.7069, 0.5000], [0.1921, 0.4245, 0.0000], [0.3079, 0.9245, 0.0000], [0.3489, 0.2069, 0.5000], [0.5000, 0.5000, 0.5000], [0.6511, 0.7931, 0.5000], [0.6921, 0.0755, 0.0000], [0.8079, 0.5755, 0.0000], [0.8489, 0.2931, 0.5000]]
}


(6)
{
  "formula": "MgTi2S4",
  "functional": "PBE-GGA",
  "state": "optimized geometry",
  "volume_a3_per_cell": 253,
  "m_tot_mub_per_cell": 0.5,
  "space_group": "Imma, No. 74",
  "ef_mev_per_atom": -1621,
  "lattice": [[-3.5648, 3.5669, 4.9833], [3.5648, -3.5669, 4.9833], [3.5648, 3.5669, -4.9833]],
  "species": ["Mg", "Mg", "Ti", "Ti", "Ti", "Ti", "S", "S", "S", "S", "S", "S", "S", "S"],
  "frac_coords": [[0.0000, 0.0000, 0.0000], [0.5000, 0.0000, 0.5000], [0.0000, 0.5000, 0.5000], [0.5000, 0.0000, 0.0000], [0.5000, 0.5000, 0.0000], [0.5000, 0.5000, 0.5000], [0.2495, 0.2552, 0.5057], [0.2495, 0.7438, 0.9943], [0.2547, 0.7469, 0.5078], [0.2610, 0.2531, 0.0078], [0.7390, 0.7469, 0.9922], [0.7453, 0.2531, 0.4922], [0.7505, 0.2562, 0.0057], [0.7505, 0.7448, 0.4943]]
}


(7)
{
  "formula": "Ga5CuSe8",
  "functional": "PBE-GGA",
  "state": "optimized geometry",
  "volume_a3_per_cell": 344,
  "space_group": "P-42m, No. 111",
  "ef_mev_per_atom": -822,
  "lattice": [[5.5214, 0.0000, 0.0000], [0.0000, 5.5214, 0.0000], [0.0000, 0.0000, 11.2695]],
  "species": ["Ga", "Ga", "Ga", "Ga", "Ga", "Cu", "Se", "Se", "Se", "Se", "Se", "Se", "Se", "Se"],
  "frac_coords": [[0.0000, 0.0000, 0.0000], [0.0000, 0.5000, 0.2549], [0.0000, 0.5000, 0.7451], [0.5000, 0.0000, 0.2549], [0.5000, 0.0000, 0.7451], [0.5000, 0.5000, 0.5000], [0.2387, 0.2387, 0.6176], [0.2387, 0.7613, 0.3824], [0.2681, 0.2681, 0.1151], [0.2681, 0.7319, 0.8849], [0.7319, 0.2681, 0.8849], [0.7319, 0.7319, 0.1151], [0.7613, 0.2387, 0.3824], [0.7613, 0.7613, 0.6176]]
}


(8)
{
  "formula": "Pm3Y",
  "functional": "PBE-GGA",
  "state": "optimized geometry",
  "volume_a3_per_cell": 136,
  "relative_energy_mev_per_atom": 0,
  "space_group": "Pm-3m, No. 221",
  "ef_mev_per_atom": 8,
  "lattice": [[5.1401, 0.0000, 0.0000], [0.0000, 5.1401, 0.0000], [0.0000, 0.0000, 5.1401]],
  "species": ["Pm", "Pm", "Pm", "Y"],
  "frac_coords": [[0.0000, 0.0000, 0.5000], [0.0000, 0.5000, 0.0000], [0.5000, 0.0000, 0.0000], [0.5000, 0.5000, 0.5000]]
}


(9)
{
  "formula": "CeSe2",
  "functional": "PBE-GGA",
  "state": "optimized geometry",
  "volume_a3_per_cell": 5948,
  "m_tot_mub_per_cell": 0.0,
  "space_group": "Pm-3n, No. 223",
  "ef_mev_per_atom": -1406,
  "lattice": [[18.1181, 0.0000, 0.0000], [0.0000, 18.1181, 0.0000], [0.0000, 0.0000, 18.1181]],
  "species": ["Ce", "Ce", "Ce", "Ce", "Ce", "Ce", "Ce", "Ce", "Ce", "Ce", "Ce", "Ce", "Ce", "Ce", "Ce", "Ce", "Ce", "Ce", "Ce", "Ce", "Ce", "Ce", "Ce", "Ce", "Se", "Se", "Se", "Se", "Se", "Se", "Se", "Se", "Se", "Se", "Se", "Se", "Se", "Se", "Se", "Se", "Se", "Se", "Se", "Se", "Se", "Se", "Se", "Se", "Se", "Se", "Se", "Se", "Se", "Se", "Se", "Se", "Se", "Se", "Se", "Se", "Se", "Se", "Se", "Se", "Se", "Se", "Se", "Se", "Se", "Se", "Se", "Se"],
  "frac_coords": [[0.1374, 0.2500, 0.3626], [0.1374, 0.2500, 0.6374], [0.1374, 0.7500, 0.3626], [0.1374, 0.7500, 0.6374], [0.2500, 0.3626, 0.1374], [0.2500, 0.3626, 0.8626], [0.2500, 0.6374, 0.1374], [0.2500, 0.6374, 0.8626], [0.3626, 0.1374, 0.2500], [0.3626, 0.1374, 0.7500], [0.3626, 0.8626, 0.2500], [0.3626, 0.8626, 0.7500], [0.6374, 0.1374, 0.2500], [0.6374, 0.1374, 0.7500], [0.6374, 0.8626, 0.2500], [0.6374, 0.8626, 0.7500], [0.7500, 0.3626, 0.1374], [0.7500, 0.3626, 0.8626], [0.7500, 0.6374, 0.1374], [0.7500, 0.6374, 0.8626], [0.8626, 0.2500, 0.3626], [0.8626, 0.2500, 0.6374], [0.8626, 0.7500, 0.3626], [0.8626, 0.7500, 0.6374], [0.0000, 0.1882, 0.3506], [0.0000, 0.1882, 0.6494], [0.0000, 0.8118, 0.3506], [0.0000, 0.8118, 0.6494], [0.1494, 0.3118, 0.5000], [0.1494, 0.6882, 0.5000], [0.1504, 0.3496, 0.2500], [0.1504, 0.3496, 0.7500], [0.1504, 0.6504, 0.2500], [0.1504, 0.6504, 0.7500], [0.1882, 0.3506, 0.0000], [0.1882, 0.6494, 0.0000], [0.2500, 0.1504, 0.3496], [0.2500, 0.1504, 0.6504], [0.2500, 0.8496, 0.3496], [0.2500, 0.8496, 0.6504], [0.3118, 0.5000, 0.1494], [0.3118, 0.5000, 0.8506], [0.3496, 0.2500, 0.1504], [0.3496, 0.2500, 0.8496], [0.3496, 0.7500, 0.1504], [0.3496, 0.7500, 0.8496], [0.3506, 0.0000, 0.1882], [0.3506, 0.0000, 0.8118], [0.5000, 0.1494, 0.3118], [0.5000, 0.1494, 0.6882], [0.5000, 0.8506, 0.3118], [0.5000, 0.8506, 0.6882], [0.6494, 0.0000, 0.1882], [0.6494, 0.0000, 0.8118], [0.6504, 0.2500, 0.1504], [0.6504, 0.2500, 0.8496], [0.6504, 0.7500, 0.1504], [0.6504, 0.7500, 0.8496], [0.6882, 0.5000, 0.1494], [0.6882, 0.5000, 0.8506], [0.7500, 0.1504, 0.3496], [0.7500, 0.1504, 0.6504], [0.7500, 0.8496, 0.3496], [0.7500, 0.8496, 0.6504], [0.8118, 0.3506, 0.0000], [0.8118, 0.6494, 0.0000], [0.8496, 0.3496, 0.2500], [0.8496, 0.3496, 0.7500], [0.8496, 0.6504, 0.2500], [0.8496, 0.6504, 0.7500], [0.8506, 0.3118, 0.5000], [0.8506, 0.6882, 0.5000]]
}